Record 1
Entry from the Materials Project: a relaxed structure of Er2MgCu2 (r²SCAN).

Crystal system = tetragonal
Symmetry = P4/mbm

a b c (Å): 7.540 7.540 3.628
angles (deg): 90.00 90.00 90.00
Sites, in units of the cell vectors:
Er1 0.170 0.330 0.000
Er2 0.330 0.830 0.000
Er3 0.670 0.170 0.000
Er4 0.830 0.670 0.000
Mg1 0.000 0.000 0.500
Mg2 0.500 0.500 0.500
Cu1 0.122 0.622 0.500
Cu2 0.378 0.122 0.500
Cu3 0.622 0.878 0.500
Cu4 0.878 0.378 0.500


Record 2
Entry from the Materials Project: a relaxed structure of Er2CuNi (r²SCAN).

Crystal system = orthorhombic
Symmetry = Amm2

a b c (Å): 4.340 5.308 5.308
angles (deg): 40.00 90.00 90.00
Sites, in units of the cell vectors:
Er1 0.000 0.000 0.000
Er2 0.500 0.278 0.278
Cu1 0.500 0.566 0.566
Ni1 0.000 0.711 0.711


| no. | E (eV/atom) |
| --- | --- |
| 1 | -19.00 |
| 2 | -23.04 |